1.
DFT (GGA-PBE) results for an optimized crystal structure of Mn2SiSe4.

abc: 13.4194 7.8363 6.2737
angles: 90.00 90.00 90.00
Last column: nearest neighbours and their distance in Å.
Positions (direct):
Mn: 0.0000 0.0000 0.0000  6 Se 2.70-2.74
Mn: 0.0000 0.5000 0.0000  6 Se 2.70-2.74
Mn: 0.2335 0.2500 0.4959  6 Se 2.69-2.77
Mn: 0.2665 0.7500 0.9959  6 Se 2.69-2.77
Mn: 0.5000 0.0000 0.5000  6 Se 2.70-2.74
Mn: 0.5000 0.5000 0.5000  6 Se 2.70-2.74
Mn: 0.7335 0.2500 0.0041  6 Se 2.69-2.77
Mn: 0.7665 0.7500 0.5041  6 Se 2.69-2.77
Si: 0.0886 0.7500 0.4064  4 Se 2.29-2.32
Si: 0.4114 0.2500 0.9064  4 Se 2.29-2.32
Si: 0.5886 0.7500 0.0936  4 Se 2.29-2.32
Si: 0.9114 0.2500 0.5936  4 Se 2.29-2.32
Se: 0.0693 0.2500 0.7427  1 Si 2.32
Se: 0.0929 0.7500 0.7708  1 Si 2.29
Se: 0.1677 0.5196 0.2488  1 Si 2.32
Se: 0.1677 0.9804 0.2488  1 Si 2.32
Se: 0.3323 0.0196 0.7488  1 Si 2.32
Se: 0.3323 0.4804 0.7488  1 Si 2.32
Se: 0.4071 0.2500 0.2708  1 Si 2.29
Se: 0.4307 0.7500 0.2427  1 Si 2.32
Se: 0.5693 0.2500 0.7573  1 Si 2.32
Se: 0.5929 0.7500 0.7292  1 Si 2.29
Se: 0.6677 0.5196 0.2512  1 Si 2.32
Se: 0.6677 0.9804 0.2512  1 Si 2.32
Se: 0.8323 0.0196 0.7512  1 Si 2.32
Se: 0.8323 0.4804 0.7512  1 Si 2.32
Se: 0.9071 0.2500 0.2292  1 Si 2.29
Se: 0.9307 0.7500 0.2573  1 Si 2.32


2.
DFT (GGA-PBE) results for an optimized crystal structure of Mn2SnSe4.

abc: 13.5554 7.9293 6.5737
angles: 90.00 90.00 90.00
Last column: nearest neighbours and their distance in Å.
Positions (direct):
Mn: 0.0000 0.0000 0.0000  6 Se 2.64-2.78
Mn: 0.0000 0.5000 0.0000  6 Se 2.64-2.78
Mn: 0.2319 0.2500 0.5004  6 Se 2.66-2.85
Mn: 0.2681 0.7500 0.0004  6 Se 2.66-2.85
Mn: 0.5000 0.0000 0.5000  6 Se 2.64-2.78
Mn: 0.5000 0.5000 0.5000  6 Se 2.64-2.78
Mn: 0.7319 0.2500 0.9996  6 Se 2.66-2.85
Mn: 0.7681 0.7500 0.4996  6 Se 2.66-2.85
Sn: 0.0885 0.7500 0.4228  4 Se 2.58-2.59
Sn: 0.4115 0.2500 0.9228  4 Se 2.58-2.59
Sn: 0.5885 0.7500 0.0772  4 Se 2.58-2.59
Sn: 0.9115 0.2500 0.5772  4 Se 2.58-2.59
Se: 0.0812 0.2500 0.7588  1 Sn 2.59, 3 Mn 2.66-2.77
Se: 0.0924 0.7500 0.8158  1 Sn 2.58, 3 Mn 2.64-2.67
Se: 0.1697 0.0009 0.2363  1 Sn 2.58, 3 Mn 2.76-2.85
Se: 0.1697 0.4991 0.2363  1 Sn 2.58, 3 Mn 2.76-2.85
Se: 0.3303 0.5009 0.7363  1 Sn 2.58, 3 Mn 2.76-2.85
Se: 0.3303 0.9991 0.7363  1 Sn 2.58, 3 Mn 2.76-2.85
Se: 0.4076 0.2500 0.3158  1 Sn 2.58, 3 Mn 2.64-2.67
Se: 0.4188 0.7500 0.2588  1 Sn 2.59, 3 Mn 2.66-2.77
Se: 0.5812 0.2500 0.7412  1 Sn 2.59, 3 Mn 2.66-2.77
Se: 0.5924 0.7500 0.6842  1 Sn 2.58, 3 Mn 2.64-2.67
Se: 0.6697 0.0009 0.2637  1 Sn 2.58, 3 Mn 2.76-2.85
Se: 0.6697 0.4991 0.2637  1 Sn 2.58, 3 Mn 2.76-2.85
Se: 0.8303 0.5009 0.7637  1 Sn 2.58, 3 Mn 2.76-2.85
Se: 0.8303 0.9991 0.7637  1 Sn 2.58, 3 Mn 2.76-2.85
Se: 0.9076 0.2500 0.1842  1 Sn 2.58, 3 Mn 2.64-2.67
Se: 0.9188 0.7500 0.2412  1 Sn 2.59, 3 Mn 2.66-2.77

Values from the calculation:
The calculation puts the magnetic moment at 1.40 μB per atom.


3.
DFT (GGA-PBE) results for an optimized crystal structure of Mn4Te3Se.

abc: 4.1317 4.1317 11.9018
angles: 90.00 90.00 120.00
Last column: nearest neighbours and their distance in Å.
Positions (direct):
Mn: 0.0000 0.0000 0.1150  1 Mn 2.74, 3 Se 2.75, 3 Te 2.86
Mn: 0.0000 0.0000 0.3743  6 Te 2.82, 2 Mn 2.99-3.09
Mn: 0.0000 0.0000 0.6257  6 Te 2.82, 2 Mn 2.99-3.09
Mn: 0.0000 0.0000 0.8850  1 Mn 2.74, 3 Se 2.75, 3 Te 2.86
Te: 0.3333 0.6667 0.2479  6 Mn 2.82-2.86
Te: 0.3333 0.6667 0.7521  6 Mn 2.82-2.86
Te: 0.6667 0.3333 0.5000  6 Mn 2.82
Se: 0.6667 0.3333 0.0000  6 Mn 2.75

Values from the calculation:
The calculation puts the magnetic moment at 0.04 μB per atom.


4.
DFT (GGA-PBE) results for an optimized crystal structure of ThMnSe3.

abc: 6.6822 6.6822 9.3701
angles: 90.00 90.00 144.70
Last column: nearest neighbours and their distance in Å.
Positions (direct):
Th: 0.2493 0.7507 0.7500  8 Se 2.95-3.19
Th: 0.7507 0.2493 0.2500  8 Se 2.95-3.19
Mn: 0.0000 0.0000 0.0000  6 Se 2.57-2.78
Mn: 0.0000 0.0000 0.5000  6 Se 2.57-2.78
Se: 0.0822 0.9178 0.2500  2 Mn 2.57
Se: 0.3569 0.6431 0.0578  2 Mn 2.78, 2 Th 3.03
Se: 0.3569 0.6431 0.4422  2 Mn 2.78, 2 Th 3.03
Se: 0.6431 0.3569 0.5578  2 Mn 2.78, 2 Th 3.03
Se: 0.6431 0.3569 0.9422  2 Mn 2.78, 2 Th 3.03
Se: 0.9178 0.0822 0.7500  2 Mn 2.57


5.
DFT (GGA-PBE) results for an optimized crystal structure of MnZn4Se5.

abc: 16.8253 16.8253 16.8253
angles: 13.95 13.95 13.95
Last column: nearest neighbours and their distance in Å.
Positions (direct):
Mn: 0.0000 0.0000 0.0000  4 Se 2.52
Zn: 0.2002 0.2002 0.2002  4 Se 2.50
Zn: 0.4004 0.4004 0.4004  4 Se 2.47-2.50
Zn: 0.5999 0.5999 0.5999  4 Se 2.49-2.50
Zn: 0.8002 0.8002 0.8002  4 Se 2.50
Se: 0.1502 0.1502 0.1502  4 Zn 2.50
Se: 0.3510 0.3510 0.3510  1 Zn 2.47, 3 Mn 2.52
Se: 0.5501 0.5501 0.5501  4 Zn 2.49-2.50
Se: 0.7502 0.7502 0.7502  4 Zn 2.50
Se: 0.9495 0.9495 0.9495  3 Zn 2.50, 1 Mn 2.52

Values from the calculation:
The calculation puts the magnetic moment at 0.50 μB per atom.


6.
DFT (GGA-PBE) results for an optimized crystal structure of MnZn4Se5.

abc: 7.0699 7.0699 10.0008
angles: 118.10 118.10 33.56
Last column: nearest neighbours and their distance in Å.
Positions (direct):
Mn: 0.0000 0.0000 0.0000  4 Se 2.53
Zn: 0.1985 0.1985 0.7980  4 Se 2.49
Zn: 0.3991 0.3991 0.5974  4 Se 2.48-2.50
Zn: 0.6002 0.6002 0.4010  4 Se 2.49-2.50
Zn: 0.8001 0.8001 0.2004  4 Se 2.49
Se: 0.0002 0.0002 0.2533  3 Zn 2.49, 1 Mn 2.53
Se: 0.2025 0.2025 0.0500  3 Zn 2.49, 1 Mn 2.53
Se: 0.3964 0.3964 0.8440  2 Zn 2.48-2.49, 2 Mn 2.53
Se: 0.5991 0.5991 0.6500  4 Zn 2.49-2.50
Se: 0.7991 0.7991 0.4485  4 Zn 2.49-2.50

Values from the calculation:
Its piezoelectric modulus e_max is 0.965 C/m².


7.
DFT (GGA-PBE) results for an optimized crystal structure of Mn2ZnSe4.

abc: 7.5678 7.5678 7.5678
angles: 60.00 60.00 60.00
Last column: nearest neighbours and their distance in Å.
Positions (direct):
Mn: 0.0000 0.0000 0.0000  6 Se 2.58
Mn: 0.0000 0.0000 0.5000  6 Se 2.58
Mn: 0.0000 0.5000 0.0000  6 Se 2.58
Mn: 0.5000 0.0000 0.0000  6 Se 2.58
Zn: 0.3750 0.3750 0.3750  4 Se 2.48
Zn: 0.6250 0.6250 0.6250  4 Se 2.48
Se: 0.2229 0.7590 0.7590  1 Zn 2.48, 3 Mn 2.58
Se: 0.2410 0.2410 0.2410  1 Zn 2.48, 3 Mn 2.58
Se: 0.2410 0.2410 0.7771  1 Zn 2.48, 3 Mn 2.58
Se: 0.2410 0.7771 0.2410  1 Zn 2.48, 3 Mn 2.58
Se: 0.7590 0.2229 0.7590  1 Zn 2.48, 3 Mn 2.58
Se: 0.7590 0.7590 0.2229  1 Zn 2.48, 3 Mn 2.58
Se: 0.7590 0.7590 0.7590  1 Zn 2.48, 3 Mn 2.58
Se: 0.7771 0.2410 0.2410  1 Zn 2.48, 3 Mn 2.58


8.
DFT (GGA-PBE) results for an optimized crystal structure of Mn5Si2.

abc: 8.7397 8.7397 8.5512
angles: 90.00 90.00 90.00
Last column: nearest neighbours and their distance in Å.
Positions (direct):
Mn: 0.0092 0.3980 0.0742  4 Si 2.33-2.60, 5 Mn 2.40-2.60
Mn: 0.0432 0.8693 0.5360  3 Mn 2.24-2.49, 3 Si 2.30-2.42
Mn: 0.0462 0.9538 0.2500  4 Si 2.52-2.59, 10 Mn 2.52-2.78
Mn: 0.0798 0.6864 0.0810  4 Si 2.34-2.55, 3 Mn 2.54-2.60
Mn: 0.1020 0.5092 0.8242  4 Si 2.33-2.60, 5 Mn 2.40-2.60
Mn: 0.1307 0.9568 0.9640  3 Mn 2.24-2.49, 3 Si 2.30-2.42
Mn: 0.1365 0.1365 0.5000  4 Si 2.38-2.43, 4 Mn 2.49-2.54
Mn: 0.1736 0.2237 0.8474  4 Si 2.53-2.74, 8 Mn 2.56-2.79
Mn: 0.1864 0.4202 0.3310  4 Si 2.34-2.55, 3 Mn 2.54-2.60
Mn: 0.2237 0.1736 0.1526  4 Si 2.53-2.74, 8 Mn 2.56-2.79
Mn: 0.2763 0.6736 0.5974  4 Si 2.53-2.74, 8 Mn 2.56-2.79
Mn: 0.3136 0.9202 0.4190  4 Si 2.34-2.55, 3 Mn 2.54-2.60
Mn: 0.3264 0.7237 0.9026  4 Si 2.53-2.74, 8 Mn 2.56-2.79
Mn: 0.3635 0.6365 0.2500  4 Si 2.38-2.43, 4 Mn 2.49-2.54
Mn: 0.3693 0.4568 0.7860  3 Mn 2.24-2.49, 3 Si 2.30-2.42
Mn: 0.3980 0.0092 0.9258  4 Si 2.33-2.60, 5 Mn 2.40-2.60
Mn: 0.4202 0.1864 0.6690  4 Si 2.34-2.55, 3 Mn 2.54-2.60
Mn: 0.4538 0.4538 0.5000  4 Si 2.52-2.59, 10 Mn 2.52-2.78
Mn: 0.4568 0.3693 0.2140  3 Mn 2.24-2.49, 3 Si 2.30-2.42
Mn: 0.4908 0.8980 0.6758  4 Si 2.33-2.60, 5 Mn 2.40-2.60
Mn: 0.5092 0.1020 0.1758  4 Si 2.33-2.60, 5 Mn 2.40-2.60
Mn: 0.5432 0.6307 0.7140  3 Mn 2.24-2.49, 3 Si 2.30-2.42
Mn: 0.5462 0.5462 0.0000  4 Si 2.52-2.59, 10 Mn 2.52-2.78
Mn: 0.5798 0.8136 0.1690  4 Si 2.34-2.55, 3 Mn 2.54-2.60
Mn: 0.6020 0.9908 0.4258  4 Si 2.33-2.60, 5 Mn 2.40-2.60
Mn: 0.6307 0.5432 0.2860  3 Mn 2.24-2.49, 3 Si 2.30-2.42
Mn: 0.6365 0.3635 0.7500  4 Si 2.38-2.43, 4 Mn 2.49-2.54
Mn: 0.6736 0.2763 0.4026  4 Si 2.53-2.74, 8 Mn 2.56-2.79
Mn: 0.6864 0.0798 0.9190  4 Si 2.34-2.55, 3 Mn 2.54-2.60
Mn: 0.7237 0.3264 0.0974  4 Si 2.53-2.74, 8 Mn 2.56-2.79
Mn: 0.7763 0.8264 0.6526  4 Si 2.53-2.74, 8 Mn 2.56-2.79
Mn: 0.8136 0.5798 0.8310  4 Si 2.34-2.55, 3 Mn 2.54-2.60
Mn: 0.8264 0.7763 0.3474  4 Si 2.53-2.74, 8 Mn 2.56-2.79
Mn: 0.8635 0.8635 0.0000  4 Si 2.38-2.43, 4 Mn 2.49-2.54
Mn: 0.8693 0.0432 0.4640  3 Mn 2.24-2.49, 3 Si 2.30-2.42
Mn: 0.8980 0.4908 0.3242  4 Si 2.33-2.60, 5 Mn 2.40-2.60
Mn: 0.9202 0.3136 0.5810  4 Si 2.34-2.55, 3 Mn 2.54-2.60
Mn: 0.9538 0.0462 0.7500  4 Si 2.52-2.59, 10 Mn 2.52-2.78
Mn: 0.9568 0.1307 0.0360  3 Mn 2.24-2.49, 3 Si 2.30-2.42
Mn: 0.9908 0.6020 0.5742  4 Si 2.33-2.60, 5 Mn 2.40-2.60
Si: 0.0325 0.7650 0.7984  8 Mn 2.33-2.59
Si: 0.1158 0.6924 0.3516  7 Mn 2.30-2.53
Si: 0.1924 0.3842 0.6016  7 Mn 2.30-2.53
Si: 0.2350 0.9675 0.7016  8 Mn 2.33-2.59
Si: 0.2650 0.4675 0.0484  8 Mn 2.33-2.59
Si: 0.3076 0.8842 0.1484  7 Mn 2.30-2.53
Si: 0.3842 0.1924 0.3984  7 Mn 2.30-2.53
Si: 0.4675 0.2650 0.9516  8 Mn 2.33-2.59
Si: 0.5325 0.7350 0.4516  8 Mn 2.33-2.59
Si: 0.6158 0.8076 0.8984  7 Mn 2.30-2.53
Si: 0.6924 0.1158 0.6484  7 Mn 2.30-2.53
Si: 0.7350 0.5325 0.5484  8 Mn 2.33-2.59
Si: 0.7650 0.0325 0.2016  8 Mn 2.33-2.59
Si: 0.8076 0.6158 0.1016  7 Mn 2.30-2.53
Si: 0.8842 0.3076 0.8516  7 Mn 2.30-2.53
Si: 0.9675 0.2350 0.2984  8 Mn 2.33-2.59

Values from the calculation:
The calculation puts the magnetic moment at 0.65 μB per atom.


Total DFT energy (no corrections) (eV/atom)
-5.816; -5.529; -6.331; -6.622; -3.800; -3.818; -5.290; -8.374